1.
# Rb3TmO3 (meta-GGA r2SCAN, optimized geometry)
data_Rb3TmO3
_chemical_formula_sum 'Rb6 Tm2 O6'
_symmetry_space_group_name_H-M 'P 1'
_symmetry_Int_Tables_number 1
_cell_length_a 7.177
_cell_length_b 7.177
_cell_length_c 7.169
_cell_angle_alpha 95.02
_cell_angle_beta 95.02
_cell_angle_gamma 115.98
loop_
_symmetry_equiv_pos_as_xyz
'x,y,z'
loop_
_atom_site_label
_atom_site_type_symbol
_atom_site_fract_x
_atom_site_fract_y
_atom_site_fract_z
Rb1 Rb 0.205 0.795 0.000
Rb2 Rb 0.260 0.740 0.500
Rb3 Rb 0.362 0.362 0.141
Rb4 Rb 0.638 0.638 0.859
Rb5 Rb 0.740 0.260 0.500
Rb6 Rb 0.795 0.205 0.000
Tm1 Tm 0.176 0.176 0.649
Tm2 Tm 0.824 0.824 0.351
O1 O 0.103 0.103 0.346
O2 O 0.166 0.444 0.768
O3 O 0.444 0.166 0.768
O4 O 0.556 0.834 0.232
O5 O 0.834 0.556 0.232
O6 O 0.897 0.897 0.654
# SG: C2/m (12)
# Formation energy in eV/atom: -2.1536


2.
# Rb3TmO3 (meta-GGA r2SCAN, optimized geometry)
data_Rb3TmO3
_chemical_formula_sum 'Rb12 Tm4 O12'
_symmetry_space_group_name_H-M 'P 1'
_symmetry_Int_Tables_number 1
_cell_length_a 7.758
_cell_length_b 7.266
_cell_length_c 11.586
_cell_angle_alpha 90.00
_cell_angle_beta 93.84
_cell_angle_gamma 90.00
loop_
_symmetry_equiv_pos_as_xyz
'x,y,z'
loop_
_atom_site_label
_atom_site_type_symbol
_atom_site_fract_x
_atom_site_fract_y
_atom_site_fract_z
Rb1 Rb 0.071 0.124 0.157
Rb2 Rb 0.071 0.376 0.657
Rb3 Rb 0.360 0.165 0.921
Rb4 Rb 0.360 0.335 0.421
Rb5 Rb 0.374 0.697 0.810
Rb6 Rb 0.374 0.803 0.310
Rb7 Rb 0.626 0.197 0.690
Rb8 Rb 0.626 0.303 0.190
Rb9 Rb 0.640 0.665 0.579
Rb10 Rb 0.640 0.835 0.079
Rb11 Rb 0.929 0.624 0.343
Rb12 Rb 0.929 0.876 0.843
Tm1 Tm 0.160 0.589 0.068
Tm2 Tm 0.160 0.911 0.568
Tm3 Tm 0.840 0.089 0.432
Tm4 Tm 0.840 0.411 0.932
O1 O 0.110 0.050 0.406
O2 O 0.110 0.450 0.906
O3 O 0.255 0.647 0.546
O4 O 0.255 0.853 0.046
O5 O 0.305 0.057 0.692
O6 O 0.305 0.443 0.192
O7 O 0.695 0.557 0.808
O8 O 0.695 0.943 0.308
O9 O 0.745 0.147 0.954
O10 O 0.745 0.353 0.454
O11 O 0.890 0.550 0.094
O12 O 0.890 0.950 0.594
# SG: P2_1/c (14)
# Formation energy in eV/atom: -2.1637


3.
# RbTmO2 (meta-GGA r2SCAN, optimized geometry)
data_RbTmO2
_chemical_formula_sum 'Rb1 Tm1 O2'
_symmetry_space_group_name_H-M 'P 1'
_symmetry_Int_Tables_number 1
_cell_length_a 6.778
_cell_length_b 6.778
_cell_length_c 6.778
_cell_angle_alpha 29.17
_cell_angle_beta 29.17
_cell_angle_gamma 29.17
loop_
_symmetry_equiv_pos_as_xyz
'x,y,z'
loop_
_atom_site_label
_atom_site_type_symbol
_atom_site_fract_x
_atom_site_fract_y
_atom_site_fract_z
Rb1 Rb 0.000 0.000 0.000
Tm1 Tm 0.500 0.500 0.500
O1 O 0.224 0.224 0.224
O2 O 0.776 0.776 0.776
# SG: R-3m (166)
# Formation energy in eV/atom: -3.0458